# 1
This record from the Materials Project database describes Na14Mg4Si7Sn4S5O48 after structural relaxation. The functional is PBE-GGA.

Lattice parameters (Å, degrees): 18.1723 9.0933 22.3910 90.08 89.24 119.96
Closest atoms and distances in Å follow each position.
Atoms (fractional coordinates):
Na 0.8078 0.9857 0.2552  5 O 2.46-2.61
Na 0.1846 0.3602 0.2538  5 O 2.39-2.62
Na 0.6905 0.3683 0.2541  5 O 2.43-2.69
Na 0.9937 0.6406 0.2457  3 O 2.36-2.57
Na 0.5022 0.6470 0.2508  2 O 2.32-2.46
Na 0.3096 0.6302 0.7459  5 O 2.44-2.66
Na 0.0007 0.3557 0.7471  5 O 2.39-2.66
Na 0.4957 0.3510 0.7416  5 O 2.39-2.66
Na 0.1897 0.0127 0.7505  5 O 2.45-2.68
Na 0.6864 0.0104 0.7503  5 O 2.37-2.62
Na 0.1472 0.3320 0.5837  4 O 2.36-2.54
Na 0.6556 0.3374 0.5826  6 O 2.45-2.73
Na 0.3387 0.9848 0.5807  4 O 2.34-2.60
Na 0.8335 0.9719 0.5806  6 O 2.48-2.70
Na 0.1535 0.9723 0.0869  5 O 2.44-2.63
Na 0.6475 0.9629 0.0873  5 O 2.39-2.55
Na 0.3347 0.6941 0.0880  5 O 2.46-2.56
Na 0.8381 0.6951 0.0843  3 O 2.35-2.57
Na 0.4858 0.6765 0.9231  5 O 2.39-2.61
Na 0.9743 0.6647 0.9213  5 O 2.36-2.54
Na 0.3526 0.0384 0.9161  6 O 2.46-2.59
Na 0.8485 0.0294 0.9117  5 O 2.44-2.65
Na 0.1660 0.2913 0.9153  6 O 2.43-2.60
Na 0.6723 0.2944 0.9094  6 O 2.45-2.74
Na 0.4770 0.2882 0.4216  5 O 2.40-2.55
Na 0.9762 0.2765 0.4228  5 O 2.36-2.60
Na 0.1704 0.0503 0.4095  5 O 2.43-2.56
Na 0.6743 0.0380 0.4139  4 O 2.39-2.63
Na 0.3498 0.6682 0.4119  5 O 2.41-2.60
Na 0.8501 0.6793 0.4179  5 O 2.38-2.66
Na 0.9924 0.9987 0.4959  5 O 2.38-2.65
Na 0.5015 0.0030 0.4997  6 O 2.48-2.64
Na 0.9982 0.9960 0.0020  6 O 2.42-2.69
Na 0.5007 0.9990 0.0021  6 O 2.45-2.72
Na 0.3278 0.3208 0.8241  3 O 2.33-2.55
Na 0.8249 0.3314 0.8327  5 O 2.42-2.65
Na 0.3258 0.3198 0.3351  5 O 2.46-2.69
Na 0.8262 0.3209 0.3313  5 O 2.48-2.66
Na 0.1692 0.6748 0.1681  6 O 2.45-2.64
Na 0.6647 0.6688 0.1748  4 O 2.33-2.59
Na 0.1632 0.6591 0.6708  6 O 2.46-2.73
Na 0.6703 0.6652 0.6632  5 O 2.42-2.57
Mg 0.9990 0.9991 0.3515  6 O 1.99-2.22
Mg 0.4966 0.9901 0.3472  4 O 1.98-2.12
Mg 0.9945 0.9992 0.8451  4 O 1.96-2.13
Mg 0.5061 0.0084 0.8462  4 O 1.94-2.10
Mg 0.3359 0.3262 0.6852  4 O 1.96-2.16
Mg 0.8358 0.3432 0.1874  4 O 1.97-2.19
Mg 0.3339 0.3316 0.9960  3 O 1.95-1.98
Mg 0.8325 0.3401 0.9810  5 O 1.98-2.19
Mg 0.3341 0.3277 0.4799  6 O 1.97-2.20
Mg 0.8319 0.3220 0.4888  4 O 1.99-2.09
Mg 0.6743 0.6883 0.3127  3 O 1.92-2.05
Mg 0.1687 0.6627 0.8096  6 O 1.98-2.17
Si 0.1493 0.9991 0.2535  4 O 1.60-1.68
Si 0.6480 0.0036 0.2507  4 O 1.62-1.71
Si 0.3515 0.6978 0.2513  4 O 1.60-1.67
Si 0.8520 0.7040 0.2524  4 O 1.61-1.73
Si 0.1481 0.2907 0.7520  4 O 1.63-1.69
Si 0.6512 0.3026 0.7528  4 O 1.61-1.68
Si 0.3528 0.9987 0.7540  4 O 1.62-1.70
Si 0.8522 0.0077 0.7514  4 O 1.61-1.66
Si 0.4781 0.3389 0.5818  4 O 1.61-1.72
Si 0.9835 0.3427 0.5826  4 O 1.59-1.70
Si 0.6815 0.0350 0.5828  4 O 1.60-1.66
Si 0.8388 0.6279 0.5800  4 O 1.60-1.68
Si 0.4826 0.6254 0.0814  4 O 1.61-1.69
Si 0.9756 0.6183 0.0825  4 O 1.60-1.71
Si 0.3394 0.0461 0.0798  4 O 1.60-1.69
Si 0.1823 0.3267 0.0813  4 O 1.62-1.65
Si 0.8179 0.6676 0.9193  4 O 1.62-1.69
Si 0.6642 0.9636 0.9157  4 O 1.63-1.67
Si 0.3177 0.9682 0.4193  4 O 1.62-1.69
Si 0.8148 0.9682 0.4147  4 O 1.62-1.70
Si 0.1664 0.3672 0.4158  4 O 1.61-1.67
Sn 0.9936 0.0017 0.6491  4 O 1.97-2.06
Sn 0.5027 0.0210 0.6498  4 O 1.99-2.04
Sn 0.0030 0.9870 0.1515  5 O 1.99-2.21
Sn 0.4937 0.9863 0.1510  5 O 1.98-2.17
Sn 0.8302 0.3292 0.6801  5 O 1.98-2.10
Sn 0.3302 0.3295 0.1818  5 O 2.01-2.08
Sn 0.1646 0.6642 0.0247  6 O 1.97-2.19
Sn 0.6647 0.6709 0.0158  4 O 1.98-2.14
Sn 0.1635 0.6581 0.5148  4 O 1.96-2.09
Sn 0.6708 0.6734 0.5223  6 O 1.98-2.21
Sn 0.1797 0.6855 0.3149  4 O 1.95-2.02
Sn 0.6810 0.6760 0.8139  4 O 1.95-2.01
S 0.9996 0.2910 0.2508  4 O 1.46-1.51
S 0.4993 0.2911 0.2516  4 O 1.47-1.51
S 0.9999 0.7080 0.7522  4 O 1.47-1.50
S 0.4990 0.7076 0.7519  4 O 1.48-1.50
S 0.1866 0.0391 0.5832  4 O 1.46-1.51
S 0.3344 0.6249 0.5835  4 O 1.46-1.54
S 0.8346 0.0448 0.0826  4 O 1.47-1.55
S 0.6863 0.3344 0.0826  4 O 1.47-1.52
S 0.3120 0.6638 0.9152  4 O 1.47-1.52
S 0.0234 0.3785 0.9160  4 O 1.47-1.52
S 0.5178 0.3723 0.9156  4 O 1.47-1.51
S 0.1673 0.9578 0.9149  4 O 1.47-1.52
S 0.6654 0.3739 0.4148  4 O 1.48-1.51
S 0.0196 0.6655 0.4153  4 O 1.46-1.52
S 0.5216 0.6669 0.4160  4 O 1.48-1.50
O 0.1076 0.0387 0.3100  1 Si 1.60
O 0.6052 0.0439 0.3076  1 Si 1.62
O 0.4081 0.7798 0.3092  1 Si 1.60
O 0.9152 0.7949 0.3072  1 Si 1.61
O 0.4855 0.1861 0.3049  1 S 1.47
O 0.9876 0.1888 0.3044  1 S 1.46
O 0.1070 0.1692 0.8106  1 Si 1.63
O 0.6118 0.1840 0.8110  1 Si 1.61
O 0.4859 0.7842 0.8063  1 S 1.48
O 0.9873 0.7860 0.8063  1 S 1.47
O 0.4118 0.0278 0.8114  1 Si 1.62
O 0.9072 0.0385 0.8105  1 Si 1.61
O 0.3932 0.9496 0.6931  1 Si 1.70
O 0.8897 0.9662 0.6910  1 Si 1.63
O 0.0882 0.2012 0.6912  1 Si 1.69
O 0.5920 0.2252 0.6926  1 Si 1.66
O 0.0169 0.8176 0.6980  1 S 1.50
O 0.5163 0.8183 0.6986  1 S 1.49
O 0.3871 0.8102 0.1892  1 Si 1.65
O 0.8913 0.8337 0.1902  1 Si 1.73
O 0.0181 0.2167 0.1964  1 S 1.51
O 0.5154 0.2149 0.1965  1 S 1.51
O 0.0944 0.9609 0.1906  1 Si 1.67
O 0.5889 0.9743 0.1884  1 Si 1.71
O 0.4400 0.3648 0.6438  1 Si 1.61
O 0.9439 0.3698 0.6456  1 Si 1.65
O 0.2380 0.1144 0.6372  1 S 1.48
O 0.7408 0.1102 0.6433  1 Si 1.66
O 0.3204 0.5209 0.6375  1 S 1.48
O 0.8162 0.5072 0.6400  1 Si 1.65
O 0.4406 0.5133 0.1424  1 Si 1.64
O 0.9370 0.5123 0.1428  1 Si 1.60
O 0.3142 0.1240 0.1373  1 Si 1.64
O 0.8203 0.1207 0.1361  1 S 1.47
O 0.2430 0.3716 0.1404  1 Si 1.65
O 0.7376 0.3611 0.1359  1 S 1.47
O 0.2199 0.2876 0.0214  1 Si 1.62
O 0.7239 0.3050 0.0284  1 S 1.47
O 0.4262 0.5523 0.0223  1 Si 1.61
O 0.9213 0.5427 0.0226  1 Si 1.61
O 0.3514 0.1436 0.0177  1 Si 1.60
O 0.8420 0.1392 0.0275  1 S 1.47
O 0.2245 0.1440 0.5297  1 S 1.46
O 0.7187 0.1552 0.5249  1 Si 1.60
O 0.3421 0.5449 0.5290  1 S 1.46
O 0.8502 0.5479 0.5195  1 Si 1.60
O 0.4195 0.2988 0.5239  1 Si 1.61
O 0.9265 0.3034 0.5249  1 Si 1.59
O 0.2726 0.6938 0.9708  1 S 1.52
O 0.7726 0.7036 0.9796  1 Si 1.69
O 0.0797 0.4603 0.9694  1 S 1.52
O 0.5734 0.4506 0.9691  1 S 1.51
O 0.1541 0.8521 0.9708  1 S 1.52
O 0.6429 0.8383 0.9755  1 Si 1.67
O 0.2723 0.8420 0.4799  1 Si 1.69
O 0.7716 0.8399 0.4753  1 Si 1.70
O 0.1451 0.4485 0.4762  1 Si 1.67
O 0.6493 0.4490 0.4705  1 S 1.51
O 0.0757 0.6996 0.4690  1 S 1.52
O 0.5756 0.6936 0.4694  1 S 1.50
O 0.0604 0.6336 0.3618  1 S 1.50
O 0.5592 0.6344 0.3621  1 S 1.48
O 0.2499 0.8816 0.3645  1 Si 1.65
O 0.7526 0.8802 0.3588  1 Si 1.62
O 0.1819 0.4934 0.3573  1 Si 1.67
O 0.6746 0.4797 0.3620  1 S 1.48
O 0.0631 0.4877 0.8631  1 S 1.47
O 0.5588 0.4828 0.8620  1 S 1.50
O 0.1781 0.8707 0.8629  1 S 1.47
O 0.6792 0.8674 0.8575  1 Si 1.66
O 0.2573 0.6395 0.8638  1 S 1.47
O 0.7496 0.6185 0.8648  1 Si 1.65
O 0.0138 0.8201 0.4106  1 S 1.46
O 0.5149 0.8232 0.4118  1 S 1.49
O 0.4095 0.9772 0.4139  1 Si 1.63
O 0.9075 0.9787 0.4128  1 Si 1.64
O 0.0825 0.1819 0.4126  1 Si 1.61
O 0.5887 0.2012 0.4119  1 S 1.49
O 0.0165 0.2093 0.9125  1 S 1.48
O 0.5091 0.2026 0.9116  1 S 1.47
O 0.0900 0.9737 0.9128  1 S 1.48
O 0.5777 0.9766 0.9127  1 Si 1.64
O 0.3974 0.8173 0.9109  1 S 1.48
O 0.9100 0.8418 0.9137  1 Si 1.63
O 0.4862 0.1592 0.5855  1 Si 1.72
O 0.9977 0.1737 0.5874  1 Si 1.68
O 0.1000 0.0182 0.5897  1 S 1.49
O 0.5861 0.0161 0.5919  1 Si 1.66
O 0.4097 0.7993 0.5875  1 S 1.49
O 0.9225 0.8233 0.5884  1 Si 1.68
O 0.4958 0.8213 0.0865  1 Si 1.68
O 0.9864 0.8156 0.0854  1 Si 1.71
O 0.4225 0.0191 0.0884  1 Si 1.66
O 0.9098 0.0208 0.0860  1 S 1.49
O 0.0873 0.1572 0.0908  1 Si 1.65
O 0.5994 0.1823 0.0883  1 S 1.50
O 0.3452 0.1697 0.7463  1 Si 1.64
O 0.8469 0.1845 0.7456  1 Si 1.66
O 0.2446 0.3220 0.7423  1 Si 1.64
O 0.7446 0.3170 0.7451  1 Si 1.64
O 0.4219 0.5387 0.7456  1 S 1.48
O 0.9249 0.5363 0.7465  1 S 1.48
O 0.3466 0.5105 0.2451  1 Si 1.67
O 0.8445 0.5180 0.2451  1 Si 1.64
O 0.4235 0.3121 0.2452  1 S 1.49
O 0.9226 0.3051 0.2438  1 S 1.48
O 0.2435 0.1718 0.2453  1 Si 1.65
O 0.7436 0.1651 0.2406  1 Si 1.63
O 0.3203 0.5099 0.9205  1 S 1.49
O 0.8248 0.4970 0.9214  1 Si 1.62
O 0.4336 0.3600 0.9215  1 S 1.48
O 0.9378 0.3575 0.9241  1 S 1.48
O 0.2446 0.1281 0.9188  1 S 1.49
O 0.7523 0.1431 0.9223  1 Si 1.63
O 0.3245 0.1522 0.4216  1 Si 1.62
O 0.8245 0.1579 0.4206  1 Si 1.65
O 0.2553 0.3666 0.4224  1 Si 1.63
O 0.7435 0.3627 0.4193  1 S 1.48
O 0.4351 0.5177 0.4238  1 S 1.48
O 0.9358 0.5129 0.4216  1 S 1.46
O 0.1807 0.5067 0.0768  1 Si 1.65
O 0.6798 0.4936 0.0767  1 S 1.52
O 0.0771 0.6640 0.0777  1 Si 1.68
O 0.5811 0.6502 0.0798  1 Si 1.69
O 0.2526 0.8512 0.0764  1 Si 1.69
O 0.7551 0.8654 0.0802  1 S 1.55
O 0.1800 0.8669 0.5777  1 S 1.51
O 0.6771 0.8504 0.5799  1 Si 1.64
O 0.2554 0.6458 0.5813  1 S 1.54
O 0.7515 0.6469 0.5799  1 Si 1.68
O 0.0827 0.5143 0.5809  1 Si 1.70
O 0.5786 0.4942 0.5747  1 Si 1.66
O 0.1477 0.8132 0.2565  1 Si 1.68
O 0.6483 0.8234 0.2518  1 Si 1.64
O 0.2526 0.6631 0.2509  1 Si 1.66
O 0.7559 0.6780 0.2529  1 Si 1.64
O 0.0758 0.4657 0.2550  1 S 1.50
O 0.5760 0.4616 0.2566  1 S 1.48
O 0.1507 0.4741 0.7552  1 Si 1.65
O 0.6474 0.4829 0.7567  1 Si 1.68
O 0.0774 0.6912 0.7575  1 S 1.50
O 0.5752 0.6856 0.7567  1 S 1.50
O 0.2571 0.8315 0.7553  1 Si 1.64
O 0.7534 0.8442 0.7510  1 Si 1.66

Computed properties:
Final energy = -6.16 eV/atom
SG = P1 (1)
Energy relative to the elements = -2.452 eV per atom
Spin magnetization = 0.0 μB/f.u.



# 2
This record from the Materials Project database describes Na4Mg3SiSnS5O24 after structural relaxation. The functional is PBE-GGA.

Lattice parameters (Å, degrees): 8.8423 8.8480 22.5781 90.51 89.84 120.20
Closest atoms and distances in Å follow each position.
Atoms (fractional coordinates):
Na 0.3626 0.3630 0.2503  4 O 2.39-2.44
Na 0.3145 0.3427 0.5874  3 O 2.30-2.46
Na 0.0197 0.6961 0.5824  3 O 2.29-2.47
Na 0.9868 0.6741 0.9171  3 O 2.33-2.56
Na 0.6996 0.0340 0.9124  4 O 2.31-2.55
Na 0.3130 0.2883 0.9184  5 O 2.39-2.64
Na 0.9756 0.9834 0.4995  4 O 2.42-2.66
Na 0.0130 0.0120 0.0007  6 O 2.53-2.75
Na 0.6679 0.3247 0.8284  5 O 2.44-2.62
Na 0.6773 0.3320 0.3304  6 O 2.51-2.65
Na 0.3322 0.6765 0.1662  6 O 2.54-2.67
Na 0.3586 0.6754 0.6636  4 O 2.36-2.63
Mg 0.9972 0.9976 0.3500  6 O 2.04-2.18
Mg 0.0066 0.0067 0.8502  6 O 1.99-2.19
Mg 0.9834 0.9907 0.6498  5 O 1.95-2.17
Mg 0.9977 0.9967 0.1505  6 O 2.05-2.18
Mg 0.6628 0.3395 0.6847  5 O 1.90-2.12
Mg 0.6733 0.3322 0.1855  6 O 2.01-2.13
Mg 0.3211 0.6637 0.0185  3 O 1.93-2.11
Mg 0.3487 0.6727 0.5164  5 O 1.95-2.16
Mg 0.3339 0.6758 0.3159  6 O 2.03-2.16
Si 0.6646 0.6317 0.5856  4 O 1.60-1.72
Si 0.0429 0.3716 0.9189  4 O 1.59-1.68
Si 0.3307 0.9587 0.9191  4 O 1.58-1.68
Sn 0.6686 0.3259 0.9862  6 O 2.01-2.24
Sn 0.6702 0.3403 0.4820  6 O 1.94-2.15
Sn 0.3252 0.6716 0.8163  6 O 1.97-2.18
S 0.2915 0.9990 0.2497  4 O 1.47-1.51
S 0.7060 0.7065 0.2500  4 O 1.47-1.50
S 0.9998 0.2919 0.2504  4 O 1.48-1.50
S 0.2958 0.2960 0.7500  4 O 1.47-1.53
S 0.9985 0.7056 0.7495  4 O 1.47-1.53
S 0.7034 0.9989 0.7510  4 O 1.46-1.54
S 0.9578 0.3308 0.5842  4 O 1.46-1.51
S 0.3755 0.0396 0.5848  4 O 1.45-1.52
S 0.9601 0.6294 0.0858  4 O 1.45-1.56
S 0.6675 0.0331 0.0860  4 O 1.46-1.55
S 0.3720 0.3355 0.0861  4 O 1.47-1.55
S 0.6232 0.6666 0.9180  4 O 1.44-1.51
S 0.6284 0.9629 0.4169  4 O 1.46-1.55
S 0.3294 0.3693 0.4156  4 O 1.47-1.54
S 0.0429 0.6680 0.4171  4 O 1.46-1.54
O 0.2117 0.0308 0.3026  1 S 1.48
O 0.8124 0.7877 0.3035  1 S 1.47
O 0.9743 0.1857 0.3035  1 S 1.48
O 0.2110 0.1975 0.8040  1 S 1.47
O 0.9815 0.7877 0.8042  1 S 1.47
O 0.8003 0.0165 0.8062  1 S 1.48
O 0.7873 0.9756 0.6988  1 S 1.46
O 0.1903 0.2152 0.6962  1 S 1.48
O 0.0224 0.8110 0.6966  1 S 1.47
O 0.7865 0.8115 0.1969  1 S 1.47
O 0.0310 0.2117 0.1974  1 S 1.48
O 0.1853 0.9735 0.1963  1 S 1.47
O 0.8725 0.3568 0.6354  1 S 1.46
O 0.4887 0.1185 0.6358  1 S 1.45
O 0.6247 0.4959 0.6382  1 Si 1.60
O 0.8642 0.5133 0.1343  1 S 1.45
O 0.6434 0.1278 0.1347  1 S 1.46
O 0.4833 0.3545 0.1370  1 S 1.47
O 0.4505 0.3066 0.0284  1 S 1.55
O 0.8547 0.5555 0.0273  1 S 1.56
O 0.7004 0.1368 0.0277  1 S 1.55
O 0.4507 0.1473 0.5292  1 S 1.52
O 0.7175 0.5509 0.5245  1 Si 1.72
O 0.8482 0.2890 0.5287  1 S 1.51
O 0.5471 0.6992 0.9697  1 S 1.44
O 0.1740 0.4538 0.9731  1 Si 1.59
O 0.3006 0.8378 0.9743  1 Si 1.58
O 0.5472 0.8636 0.4705  1 S 1.46
O 0.3113 0.4515 0.4701  1 S 1.47
O 0.1387 0.6857 0.4727  1 S 1.48
O 0.1278 0.6440 0.3652  1 S 1.46
O 0.5216 0.8853 0.3637  1 S 1.46
O 0.3580 0.4767 0.3626  1 S 1.47
O 0.1142 0.4960 0.8583  1 Si 1.67
O 0.3970 0.8940 0.8594  1 Si 1.68
O 0.5124 0.6239 0.8633  1 S 1.50
O 0.0176 0.8200 0.4115  1 S 1.48
O 0.8053 0.9871 0.4108  1 S 1.47
O 0.1748 0.1930 0.4098  1 S 1.47
O 0.0012 0.1736 0.9087  1 Si 1.61
O 0.1599 0.9768 0.9085  1 Si 1.62
O 0.7993 0.8187 0.9081  1 S 1.48
O 0.9923 0.1846 0.5906  1 S 1.48
O 0.2038 0.0314 0.5914  1 S 1.49
O 0.8454 0.8193 0.5886  1 Si 1.63
O 0.9768 0.8031 0.0905  1 S 1.47
O 0.8262 0.0198 0.0914  1 S 1.47
O 0.1981 0.1770 0.0895  1 S 1.47
O 0.6803 0.1524 0.7454  1 S 1.48
O 0.4703 0.3130 0.7462  1 S 1.48
O 0.8461 0.5274 0.7449  1 S 1.47
O 0.6814 0.5262 0.2439  1 S 1.50
O 0.8450 0.3132 0.2436  1 S 1.48
O 0.4680 0.1617 0.2436  1 S 1.51
O 0.6427 0.5078 0.9241  1 S 1.51
O 0.8502 0.3654 0.9247  1 Si 1.68
O 0.5033 0.1623 0.9241  1 Si 1.68
O 0.6455 0.1457 0.4221  1 S 1.55
O 0.4924 0.3503 0.4196  1 S 1.54
O 0.8630 0.4996 0.4187  1 S 1.54
O 0.3628 0.4954 0.0800  1 S 1.47
O 0.1308 0.6410 0.0801  1 S 1.47
O 0.5102 0.8606 0.0789  1 S 1.47
O 0.3423 0.8597 0.5755  1 S 1.48
O 0.4868 0.6401 0.5764  1 Si 1.62
O 0.1283 0.4952 0.5757  1 S 1.49
O 0.3130 0.8444 0.2562  1 S 1.48
O 0.5257 0.6817 0.2563  1 S 1.50
O 0.1621 0.4685 0.2570  1 S 1.50
O 0.3167 0.4784 0.7541  1 S 1.53
O 0.1648 0.6927 0.7512  1 S 1.53
O 0.5240 0.8307 0.7533  1 S 1.54

Computed properties:
Final energy = -6.06 eV/atom
SG = P1 (1)
Energy relative to the elements = -2.314 eV per atom
Spin magnetization = 0.0 μB/f.u.



- Which value of energy relative to the elements does entry 1 give?
  -2.452 eV per atom



- What is the formula in the second record?
  Na4Mg3SiSnS5O24